SrGaF5, relaxed, DFT PBE; crystal system = tetragonal
1.0
-7.330 7.330 3.727
7.330 -7.330 3.727
7.330 7.330 -3.727
Sr Ga F
8 8 40
direct
0.049 0.225 0.274
0.225 0.951 0.176
0.255 0.436 0.685
0.436 0.751 0.181
0.570 0.255 0.819
0.751 0.570 0.315
0.775 0.049 0.824
0.951 0.775 0.726
0.008 0.508 0.500
0.185 0.667 0.852
0.262 0.262 0.000
0.333 0.185 0.517
0.508 0.008 0.500
0.667 0.815 0.483
0.761 0.761 0.000
0.815 0.333 0.148
0.012 0.012 0.000
0.071 0.392 0.454
0.075 0.424 0.858
0.075 0.465 0.188
0.120 0.924 0.387
0.130 0.211 0.835
0.130 0.559 0.669
0.211 0.376 0.082
0.216 0.075 0.650
0.223 0.256 0.488
0.256 0.768 0.033
0.258 0.758 0.500
0.277 0.888 0.812
0.294 0.130 0.918
0.376 0.294 0.165
0.392 0.938 0.321
0.424 0.566 0.350
0.432 0.773 0.863
0.461 0.130 0.571
0.465 0.277 0.389
0.512 0.512 0.000
0.537 0.733 0.613
0.559 0.890 0.429
0.566 0.216 0.142
0.568 0.432 0.658
0.617 0.071 0.679
0.651 0.727 0.833
0.727 0.894 0.076
0.733 0.120 0.196
0.736 0.223 0.967
0.758 0.258 0.500
0.768 0.736 0.512
0.773 0.910 0.342
0.818 0.651 0.924
0.888 0.075 0.611
0.890 0.461 0.331
0.894 0.818 0.167
0.910 0.568 0.137
0.924 0.537 0.804
0.938 0.617 0.546

---

Tl3GaF6, relaxed, DFT PBE; crystal system = cubic
1.0
0.000 4.579 4.579
4.579 0.000 4.579
4.579 4.579 0.000
Tl Ga F
3 1 6
direct
0.000 0.000 0.000
0.250 0.250 0.250
0.750 0.750 0.750
0.500 0.500 0.500
0.289 0.289 0.711
0.289 0.711 0.289
0.289 0.711 0.711
0.711 0.289 0.289
0.711 0.289 0.711
0.711 0.711 0.289

---

K3GdF6, relaxed, DFT PBE; crystal system = monoclinic
1.0
6.444 0.000 0.000
0.000 6.689 0.000
-6.277 0.000 9.218
K Gd F
6 2 12
direct
0.000 0.000 0.000
0.000 0.500 0.500
0.224 0.052 0.742
0.224 0.448 0.242
0.776 0.552 0.758
0.776 0.948 0.258
0.500 0.000 0.500
0.500 0.500 0.000
0.167 0.179 0.449
0.167 0.321 0.949
0.250 0.729 0.422
0.250 0.771 0.922
0.397 0.066 0.276
0.397 0.434 0.776
0.603 0.566 0.224
0.603 0.934 0.724
0.750 0.229 0.078
0.750 0.271 0.578
0.833 0.679 0.051
0.833 0.821 0.551

---

KLiGdF5, relaxed, DFT PBE; crystal system = monoclinic
1.0
6.632 0.000 0.000
0.000 12.008 0.000
-2.595 0.000 5.906
K Li Gd F
4 4 4 20
direct
0.053 0.150 0.036
0.053 0.350 0.536
0.947 0.650 0.464
0.947 0.850 0.964
0.443 0.746 0.538
0.443 0.754 0.038
0.557 0.246 0.962
0.557 0.254 0.462
0.318 0.502 0.180
0.318 0.998 0.680
0.682 0.002 0.320
0.682 0.498 0.820
0.044 0.507 0.825
0.044 0.993 0.325
0.282 0.697 0.224
0.282 0.803 0.724
0.288 0.176 0.782
0.288 0.324 0.282
0.334 0.532 0.547
0.334 0.968 0.047
0.464 0.105 0.465
0.464 0.395 0.965
0.536 0.605 0.035
0.536 0.895 0.535
0.666 0.032 0.953
0.666 0.468 0.453
0.712 0.676 0.718
0.712 0.824 0.218
0.718 0.197 0.276
0.718 0.303 0.776
0.956 0.007 0.675
0.956 0.493 0.175

---

NaGdF4, relaxed, DFT PBE; crystal system = triclinic
1.0
6.116 0.000 0.000
3.028 6.383 0.000
3.040 2.207 5.994
Na Gd F
3 3 12
direct
0.000 0.000 0.000
0.006 0.518 0.518
0.670 0.910 0.775
0.338 0.988 0.364
0.342 0.488 0.860
0.677 0.408 0.272
0.093 0.739 0.611
0.095 0.225 0.094
0.323 0.373 0.242
0.328 0.868 0.741
0.381 0.763 0.184
0.384 0.317 0.628
0.588 0.115 0.988
0.612 0.619 0.487
0.704 0.034 0.355
0.706 0.489 0.898
0.936 0.200 0.515
0.938 0.650 0.064

---

NaGdTiNbO6F, relaxed, DFT PBE; energy above the lowest structure with this stoichiometry = 0 meV/atom; crystal system = tetragonal
1.0
7.355 0.000 0.000
0.000 7.355 0.000
0.000 0.000 10.410
Na Gd Ti Nb O F
4 4 4 4 24 4
direct
0.000 0.231 0.000
0.000 0.769 0.500
0.231 0.000 0.250
0.769 0.000 0.750
0.216 0.500 0.250
0.500 0.216 0.000
0.500 0.784 0.500
0.784 0.500 0.750
0.267 0.500 0.750
0.500 0.267 0.500
0.500 0.733 0.000
0.733 0.500 0.250
0.000 0.260 0.500
0.000 0.740 0.000
0.260 0.000 0.750
0.740 0.000 0.250
0.053 0.452 0.633
0.053 0.548 0.867
0.064 0.064 0.625
0.064 0.936 0.875
0.251 0.277 0.426
0.251 0.723 0.074
0.277 0.251 0.824
0.277 0.749 0.676
0.452 0.053 0.617
0.452 0.947 0.883
0.455 0.455 0.625
0.455 0.545 0.875
0.545 0.455 0.375
0.545 0.545 0.125
0.548 0.053 0.383
0.548 0.947 0.117
0.723 0.251 0.176
0.723 0.749 0.324
0.749 0.277 0.574
0.749 0.723 0.926
0.936 0.064 0.375
0.936 0.936 0.125
0.947 0.452 0.367
0.947 0.548 0.133
0.247 0.247 0.125
0.247 0.753 0.375
0.753 0.247 0.875
0.753 0.753 0.625

---

NaGdTiNbO6F, relaxed, DFT PBE; energy above the lowest structure with this stoichiometry = 5 meV/atom; crystal system = orthorhombic
1.0
-3.579 3.779 5.155
3.579 -3.779 5.155
3.579 3.779 -5.155
Na Gd Ti Nb O F
2 2 2 2 12 2
direct
0.500 0.000 0.000
0.500 0.500 0.500
0.000 0.000 0.000
0.500 0.000 0.500
0.000 0.000 0.500
0.000 0.500 0.000
0.000 0.500 0.500
0.500 0.500 0.000
0.064 0.414 0.233
0.064 0.831 0.650
0.080 0.830 0.250
0.317 0.567 0.750
0.319 0.169 0.733
0.319 0.586 0.150
0.681 0.414 0.850
0.681 0.831 0.267
0.683 0.433 0.250
0.920 0.170 0.750
0.936 0.169 0.350
0.936 0.586 0.767
0.372 0.122 0.250
0.628 0.878 0.750

---

NaSr3GdP3O12F, relaxed, DFT PBE; crystal system = trigonal
1.0
9.687 0.000 0.000
-4.844 8.390 0.000
0.000 0.000 7.207
Na Sr Gd P O F
2 6 2 6 24 2
direct
0.333 0.667 0.015
0.667 0.333 0.985
0.019 0.760 0.238
0.240 0.260 0.238
0.260 0.019 0.762
0.740 0.981 0.238
0.760 0.740 0.762
0.981 0.240 0.762
0.333 0.667 0.517
0.667 0.333 0.483
0.033 0.626 0.739
0.374 0.407 0.739
0.407 0.033 0.261
0.593 0.967 0.739
0.626 0.593 0.261
0.967 0.374 0.261
0.055 0.740 0.901
0.105 0.729 0.560
0.131 0.540 0.767
0.148 0.498 0.281
0.260 0.316 0.901
0.271 0.376 0.560
0.316 0.055 0.099
0.350 0.852 0.281
0.376 0.105 0.440
0.409 0.869 0.767
0.460 0.591 0.767
0.498 0.350 0.719
0.502 0.650 0.281
0.540 0.409 0.233
0.591 0.131 0.233
0.624 0.895 0.560
0.650 0.148 0.719
0.684 0.945 0.901
0.729 0.624 0.440
0.740 0.684 0.099
0.852 0.502 0.719
0.869 0.460 0.233
0.895 0.271 0.440
0.945 0.260 0.099
0.000 0.000 0.263
0.000 0.000 0.737

---

Na5Gd4Si4O16F, relaxed, DFT PBE; crystal system = tetragonal
1.0
-5.904 5.904 2.737
5.904 -5.904 2.737
5.904 5.904 -2.737
Na Gd Si O F
5 4 4 16 1
direct
0.000 0.000 0.000
0.113 0.418 0.515
0.403 0.887 0.306
0.582 0.097 0.694
0.903 0.597 0.485
0.338 0.638 0.933
0.362 0.295 0.701
0.594 0.662 0.299
0.705 0.406 0.067
0.093 0.743 0.856
0.257 0.113 0.350
0.763 0.907 0.650
0.887 0.237 0.144
0.049 0.221 0.759
0.122 0.628 0.722
0.175 0.738 0.032
0.186 0.422 0.140
0.262 0.294 0.437
0.282 0.046 0.860
0.372 0.094 0.494
0.462 0.290 0.241
0.578 0.718 0.764
0.600 0.878 0.506
0.706 0.143 0.968
0.710 0.951 0.172
0.779 0.538 0.828
0.857 0.825 0.563
0.906 0.400 0.278
0.954 0.814 0.236
0.500 0.500 0.000

---

GdOF, relaxed, DFT PBE; crystal system = trigonal
1.0
1.943 1.122 6.476
-1.943 1.122 6.476
0.000 -2.243 6.476
Gd O F
2 2 2
direct
0.241 0.241 0.241
0.759 0.759 0.759
0.122 0.122 0.122
0.878 0.878 0.878
0.370 0.370 0.370
0.630 0.630 0.630

---

GdOF, relaxed, DFT PBE; crystal system = orthorhombic
1.0
0.000 4.484 5.489
3.778 0.000 5.489
3.778 4.484 0.000
Gd O F
4 4 4
direct
0.074 0.676 0.074
0.324 0.926 0.324
0.676 0.074 0.676
0.926 0.324 0.926
0.007 0.007 0.743
0.257 0.257 0.993
0.743 0.743 0.007
0.993 0.993 0.257
0.000 0.500 0.500
0.500 0.000 0.500
0.500 0.500 0.000
0.500 0.500 0.500

---

GdOF, relaxed, DFT PBE; crystal system = tetragonal
1.0
3.926 0.000 0.000
0.000 3.926 0.000
0.000 0.000 5.601
Gd O F
2 2 2
direct
0.250 0.250 0.212
0.750 0.750 0.788
0.250 0.750 0.000
0.750 0.250 0.000
0.250 0.750 0.500
0.750 0.250 0.500

---

Number 1: calculated formation energy -3.494 eV per atom. Number 2: calculated formation energy -2.410 eV per atom. Number 3: calculated formation energy -3.564 eV per atom. Number 4: calculated formation energy -3.769 eV per atom. Number 5: calculated formation energy -3.937 eV per atom. Number 6: calculated formation energy -3.368 eV per atom. Number 7: calculated formation energy -3.363 eV per atom. Number 8: calculated formation energy -3.359 eV per atom. Number 9: calculated formation energy -3.287 eV per atom. Number 10: calculated formation energy -4.184 eV per atom. Number 11: calculated formation energy -4.128 eV per atom. Number 12: calculated formation energy -4.183 eV per atom.